# 1
Density functional theory data (PBE) for RbPuP2S7 after structural relaxation. Values from VASP.

Structure (Quantum ESPRESSO input):
```
&SYSTEM
  ibrav = 0, nat = 44, ntyp = 4
/
ATOMIC_SPECIES
Rb 85.47 Rb.upf
Pu 244.00 Pu.upf
P 30.97 P.upf
S 32.06 S.upf
CELL_PARAMETERS angstrom
9.951 0.000 0.000
0.000 12.542 0.000
-0.095 0.000 9.094
ATOMIC_POSITIONS crystal
Rb 0.106 0.195 0.133
Rb 0.106 0.305 0.633
Rb 0.894 0.695 0.367
Rb 0.894 0.805 0.867
Pu 0.360 0.641 0.607
Pu 0.360 0.859 0.107
Pu 0.640 0.141 0.893
Pu 0.640 0.359 0.393
P 0.230 0.604 0.976
P 0.230 0.896 0.476
P 0.318 0.035 0.803
P 0.318 0.465 0.303
P 0.682 0.535 0.697
P 0.682 0.965 0.197
P 0.770 0.104 0.524
P 0.770 0.396 0.024
S 0.138 0.559 0.786
S 0.138 0.941 0.286
S 0.140 0.710 0.111
S 0.140 0.790 0.611
S 0.172 0.527 0.431
S 0.172 0.973 0.931
S 0.255 0.050 0.577
S 0.255 0.450 0.077
S 0.358 0.190 0.854
S 0.358 0.310 0.354
S 0.410 0.672 0.924
S 0.410 0.828 0.424
S 0.486 0.557 0.326
S 0.486 0.943 0.826
S 0.514 0.057 0.174
S 0.514 0.443 0.674
S 0.590 0.172 0.576
S 0.590 0.328 0.076
S 0.642 0.690 0.646
S 0.642 0.810 0.146
S 0.745 0.550 0.923
S 0.745 0.950 0.423
S 0.828 0.027 0.069
S 0.828 0.473 0.569
S 0.860 0.210 0.389
S 0.860 0.290 0.889
S 0.862 0.059 0.714
S 0.862 0.441 0.214
```

=====

# 2
Density functional theory data (PBE) for RbP15 after structural relaxation. Values from VASP.

Structure (Quantum ESPRESSO input):
```
&SYSTEM
  ibrav = 0, nat = 32, ntyp = 2
/
ATOMIC_SPECIES
Rb 85.47 Rb.upf
P 30.97 P.upf
CELL_PARAMETERS angstrom
7.609 0.000 0.000
3.509 8.832 0.000
2.579 -0.642 12.611
ATOMIC_POSITIONS crystal
Rb 0.215 0.290 0.498
Rb 0.785 0.710 0.502
P 0.007 0.161 0.095
P 0.011 0.068 0.689
P 0.039 0.608 0.844
P 0.121 0.738 0.195
P 0.126 0.606 0.674
P 0.199 0.910 0.784
P 0.242 0.002 0.305
P 0.294 0.037 0.131
P 0.297 0.621 0.311
P 0.313 0.517 0.906
P 0.334 0.809 0.071
P 0.337 0.708 0.670
P 0.397 0.273 0.868
P 0.479 0.763 0.306
P 0.480 0.412 0.215
P 0.520 0.588 0.785
P 0.521 0.237 0.694
P 0.603 0.727 0.132
P 0.663 0.292 0.330
P 0.666 0.191 0.929
P 0.687 0.483 0.094
P 0.703 0.379 0.689
P 0.706 0.963 0.869
P 0.758 0.998 0.695
P 0.801 0.090 0.216
P 0.874 0.394 0.326
P 0.879 0.262 0.805
P 0.961 0.392 0.156
P 0.989 0.932 0.311
P 0.993 0.839 0.905
```

=====

# 3
Density functional theory data (PBE) for RbP11 after structural relaxation. Values from VASP.

Structure (Quantum ESPRESSO input):
```
&SYSTEM
  ibrav = 0, nat = 48, ntyp = 2
/
ATOMIC_SPECIES
Rb 85.47 Rb.upf
P 30.97 P.upf
CELL_PARAMETERS angstrom
6.868 0.000 0.000
0.000 9.796 0.000
-1.261 0.000 18.722
ATOMIC_POSITIONS crystal
Rb 0.070 0.025 0.172
Rb 0.070 0.475 0.172
Rb 0.930 0.525 0.828
Rb 0.930 0.975 0.828
P 0.130 0.750 0.607
P 0.156 0.096 0.586
P 0.156 0.404 0.586
P 0.204 0.750 0.720
P 0.223 0.133 0.703
P 0.223 0.367 0.703
P 0.249 0.750 0.964
P 0.262 0.750 0.080
P 0.313 0.090 0.977
P 0.313 0.410 0.977
P 0.319 0.589 0.561
P 0.319 0.911 0.561
P 0.353 0.250 0.543
P 0.377 0.750 0.376
P 0.415 0.087 0.362
P 0.415 0.413 0.362
P 0.423 0.250 0.905
P 0.454 0.595 0.297
P 0.454 0.905 0.297
P 0.456 0.590 0.930
P 0.456 0.910 0.930
P 0.482 0.250 0.283
P 0.518 0.750 0.717
P 0.544 0.090 0.070
P 0.544 0.410 0.070
P 0.546 0.095 0.703
P 0.546 0.405 0.703
P 0.577 0.750 0.095
P 0.585 0.587 0.638
P 0.585 0.913 0.638
P 0.623 0.250 0.624
P 0.647 0.750 0.457
P 0.681 0.089 0.439
P 0.681 0.411 0.439
P 0.687 0.590 0.023
P 0.687 0.910 0.023
P 0.738 0.250 0.920
P 0.751 0.250 0.036
P 0.777 0.633 0.297
P 0.777 0.867 0.297
P 0.796 0.250 0.280
P 0.844 0.596 0.414
P 0.844 0.904 0.414
P 0.870 0.250 0.393
```

=====

# 4
Density functional theory data (PBE) for Rb2P3 after structural relaxation. Values from VASP.

Structure (Quantum ESPRESSO input):
```
&SYSTEM
  ibrav = 0, nat = 10, ntyp = 2
/
ATOMIC_SPECIES
Rb 85.47 Rb.upf
P 30.97 P.upf
CELL_PARAMETERS angstrom
0.000 4.897 7.442
4.547 0.000 7.442
4.547 4.897 0.000
ATOMIC_POSITIONS crystal
Rb 0.223 0.777 0.223
Rb 0.250 0.250 0.250
Rb 0.750 0.750 0.750
Rb 0.777 0.223 0.777
P 0.221 0.633 0.779
P 0.353 0.353 0.647
P 0.367 0.779 0.633
P 0.633 0.221 0.367
P 0.647 0.647 0.353
P 0.779 0.367 0.221
```

=====

# 5
Density functional theory data (PBE) for RbP2Rh2 after structural relaxation. Values from VASP.

Structure (Quantum ESPRESSO input):
```
&SYSTEM
  ibrav = 0, nat = 10, ntyp = 3
/
ATOMIC_SPECIES
Rb 85.47 Rb.upf
P 30.97 P.upf
Rh 102.91 Rh.upf
CELL_PARAMETERS angstrom
3.958 0.000 0.000
0.000 3.958 0.000
0.000 0.000 13.794
ATOMIC_POSITIONS crystal
Rb 0.000 0.000 0.000
Rb 0.500 0.500 0.500
P 0.000 0.000 0.342
P 0.000 0.000 0.658
P 0.500 0.500 0.158
P 0.500 0.500 0.842
Rh 0.000 0.500 0.250
Rh 0.000 0.500 0.750
Rh 0.500 0.000 0.250
Rh 0.500 0.000 0.750
```

=====

# 6
Density functional theory data (PBE) for RbP2Ru2 after structural relaxation. Values from VASP.

Structure (Quantum ESPRESSO input):
```
&SYSTEM
  ibrav = 0, nat = 10, ntyp = 3
/
ATOMIC_SPECIES
Rb 85.47 Rb.upf
P 30.97 P.upf
Ru 101.07 Ru.upf
CELL_PARAMETERS angstrom
4.074 0.000 0.000
0.000 4.074 0.000
0.000 0.000 13.159
ATOMIC_POSITIONS crystal
Rb 0.000 0.000 0.000
Rb 0.500 0.500 0.500
P 0.000 0.000 0.334
P 0.000 0.000 0.666
P 0.500 0.500 0.166
P 0.500 0.500 0.834
Ru 0.000 0.500 0.250
Ru 0.000 0.500 0.750
Ru 0.500 0.000 0.250
Ru 0.500 0.000 0.750
```

=====

# 7
Density functional theory data (PBE) for Rb3PS4 after structural relaxation. Values from VASP.

Structure (Quantum ESPRESSO input):
```
&SYSTEM
  ibrav = 0, nat = 32, ntyp = 3
/
ATOMIC_SPECIES
Rb 85.47 Rb.upf
P 30.97 P.upf
S 32.06 S.upf
CELL_PARAMETERS angstrom
9.448 0.000 0.000
0.000 11.167 0.000
0.000 0.000 9.529
ATOMIC_POSITIONS crystal
Rb 0.046 0.043 0.205
Rb 0.046 0.457 0.205
Rb 0.148 0.750 0.417
Rb 0.352 0.250 0.917
Rb 0.454 0.543 0.705
Rb 0.454 0.957 0.705
Rb 0.546 0.043 0.295
Rb 0.546 0.457 0.295
Rb 0.648 0.750 0.083
Rb 0.852 0.250 0.583
Rb 0.954 0.543 0.795
Rb 0.954 0.957 0.795
P 0.224 0.750 0.982
P 0.276 0.250 0.482
P 0.724 0.750 0.518
P 0.776 0.250 0.018
S 0.025 0.750 0.073
S 0.169 0.097 0.542
S 0.169 0.403 0.542
S 0.205 0.750 0.766
S 0.295 0.250 0.266
S 0.331 0.597 0.042
S 0.331 0.903 0.042
S 0.475 0.250 0.573
S 0.525 0.750 0.427
S 0.669 0.097 0.958
S 0.669 0.403 0.958
S 0.705 0.750 0.734
S 0.795 0.250 0.234
S 0.831 0.597 0.458
S 0.831 0.903 0.458
S 0.975 0.250 0.927
```

=====

# 8
Density functional theory data (PBE) for Rb6U3Sb2P8S32 after structural relaxation. Values from VASP.

Structure (Quantum ESPRESSO input):
```
&SYSTEM
  ibrav = 0, nat = 102, ntyp = 5
/
ATOMIC_SPECIES
Rb 85.47 Rb.upf
U 238.03 U.upf
Sb 121.76 Sb.upf
P 30.97 P.upf
S 32.06 S.upf
CELL_PARAMETERS angstrom
13.000 -7.513 0.000
13.000 7.513 0.000
-8.635 0.000 15.325
ATOMIC_POSITIONS crystal
Rb 0.136 0.260 0.089
Rb 0.193 0.760 0.589
Rb 0.240 0.807 0.911
Rb 0.260 0.136 0.589
Rb 0.307 0.364 0.911
Rb 0.364 0.307 0.411
Rb 0.636 0.693 0.589
Rb 0.693 0.636 0.089
Rb 0.740 0.864 0.411
Rb 0.760 0.193 0.089
Rb 0.807 0.240 0.411
Rb 0.864 0.740 0.911
U 0.082 0.750 0.250
U 0.250 0.918 0.250
U 0.418 0.582 0.250
U 0.582 0.418 0.750
U 0.750 0.082 0.750
U 0.918 0.250 0.750
Sb 0.039 0.539 0.617
Sb 0.461 0.961 0.883
Sb 0.539 0.039 0.117
Sb 0.961 0.461 0.383
P 0.041 0.606 0.335
P 0.106 0.187 0.335
P 0.187 0.106 0.835
P 0.191 0.691 0.074
P 0.309 0.809 0.426
P 0.312 0.459 0.665
P 0.394 0.959 0.165
P 0.459 0.312 0.165
P 0.541 0.688 0.835
P 0.606 0.041 0.835
P 0.688 0.541 0.335
P 0.691 0.191 0.574
P 0.809 0.309 0.926
P 0.813 0.894 0.165
P 0.894 0.813 0.665
P 0.959 0.394 0.665
S 0.001 0.769 0.373
S 0.039 0.262 0.435
S 0.048 0.078 0.235
S 0.078 0.048 0.735
S 0.079 0.304 0.283
S 0.086 0.836 0.132
S 0.099 0.421 0.717
S 0.103 0.269 0.873
S 0.110 0.548 0.235
S 0.133 0.539 0.435
S 0.148 0.648 0.945
S 0.164 0.914 0.368
S 0.196 0.599 0.717
S 0.211 0.586 0.133
S 0.231 0.999 0.127
S 0.237 0.367 0.565
S 0.262 0.039 0.935
S 0.269 0.103 0.373
S 0.289 0.664 0.368
S 0.304 0.079 0.783
S 0.336 0.711 0.132
S 0.352 0.852 0.555
S 0.367 0.237 0.065
S 0.390 0.422 0.265
S 0.397 0.499 0.627
S 0.401 0.804 0.783
S 0.414 0.789 0.367
S 0.421 0.099 0.217
S 0.422 0.390 0.765
S 0.452 0.890 0.265
S 0.461 0.867 0.065
S 0.499 0.397 0.127
S 0.501 0.603 0.873
S 0.539 0.133 0.935
S 0.548 0.110 0.735
S 0.578 0.610 0.235
S 0.579 0.901 0.783
S 0.586 0.211 0.633
S 0.599 0.196 0.217
S 0.603 0.501 0.373
S 0.610 0.578 0.735
S 0.633 0.763 0.935
S 0.648 0.148 0.445
S 0.664 0.289 0.868
S 0.696 0.921 0.217
S 0.711 0.336 0.632
S 0.731 0.897 0.627
S 0.738 0.961 0.065
S 0.763 0.633 0.435
S 0.769 0.001 0.873
S 0.789 0.414 0.867
S 0.804 0.401 0.283
S 0.836 0.086 0.632
S 0.852 0.352 0.055
S 0.867 0.461 0.565
S 0.890 0.452 0.765
S 0.897 0.731 0.127
S 0.901 0.579 0.283
S 0.914 0.164 0.868
S 0.921 0.696 0.717
S 0.922 0.952 0.265
S 0.952 0.922 0.765
S 0.961 0.738 0.565
S 0.999 0.231 0.627
```

=====

| no. | ΔH_f (0 K) (kcal/mol of atoms) | calculated total energy (eV/atom) |
| --- | --- | --- |
| 1 | -25.9 | -5.80 |
| 2 | -2.4 | -5.24 |
| 3 | -2.9 | -5.17 |
| 4 | -10.0 | -4.07 |
| 5 | -16.8 | -6.04 |
| 6 | -14.4 | -6.69 |
| 7 | -28.7 | -4.11 |
| 8 | -24.3 | -5.13 |